(1)
TiNbCrO6 | Materials Project | GGA+U | optimized geometry; electronic total energy = -8.679 eV/atom
1.0
4.704 0.000 0.000
0.000 9.408 0.000
0.000 0.000 9.086
Ti Nb Cr O
4 4 4 24
direct
0.500 0.250 0.498
0.500 0.750 0.498
0.000 0.000 0.998
0.000 0.500 0.998
0.500 0.250 0.834
0.500 0.750 0.834
0.000 0.000 0.334
0.000 0.500 0.334
0.500 0.750 0.167
0.000 0.500 0.667
0.500 0.250 0.167
0.000 0.000 0.667
0.194 0.403 0.165
0.194 0.903 0.165
0.806 0.097 0.165
0.806 0.597 0.165
0.306 0.153 0.665
0.306 0.653 0.665
0.694 0.347 0.665
0.694 0.847 0.665
0.200 0.400 0.498
0.200 0.900 0.498
0.800 0.100 0.498
0.800 0.600 0.498
0.300 0.150 0.998
0.300 0.650 0.998
0.700 0.350 0.998
0.700 0.850 0.998
0.194 0.403 0.837
0.194 0.903 0.837
0.806 0.097 0.837
0.806 0.597 0.837
0.306 0.153 0.337
0.306 0.653 0.337
0.694 0.347 0.337
0.694 0.847 0.337


(2)
Li9Mn2Co5O16 | Materials Project | GGA+U | optimized geometry; crystal system = triclinic; electronic total energy = -5.789 eV/atom
1.0
5.039 0.000 0.000
-1.595 4.850 0.000
-0.427 -0.389 11.784
Li Mn Co O
9 2 5 16
direct
0.004 0.503 0.129
0.484 0.486 0.262
0.997 0.503 0.383
0.499 0.503 0.502
0.003 0.492 0.621
0.513 0.507 0.741
0.998 0.499 0.867
0.499 0.499 0.995
0.998 0.997 0.499
0.003 0.003 0.998
0.499 0.002 0.129
0.995 0.996 0.259
0.499 0.996 0.380
0.495 0.011 0.622
0.999 0.998 0.739
0.509 0.002 0.871
0.245 0.771 0.009
0.773 0.793 0.120
0.242 0.773 0.261
0.724 0.773 0.368
0.282 0.775 0.493
0.760 0.765 0.632
0.273 0.769 0.758
0.754 0.773 0.881
0.738 0.221 0.253
0.248 0.215 0.367
0.717 0.225 0.493
0.252 0.236 0.630
0.752 0.241 0.749
0.235 0.205 0.880
0.758 0.229 0.990
0.251 0.237 0.117


(3)
Mn2FeO4 | Materials Project | GGA+U | optimized geometry; crystal system = orthorhombic; electronic total energy = -7.365 eV/atom
1.0
5.816 -0.022 0.000
-0.021 5.816 0.000
2.897 2.898 4.793
Mn Fe O
4 2 8
direct
0.375 0.625 0.750
0.375 0.124 0.250
0.375 0.625 0.250
0.874 0.625 0.750
0.749 0.249 0.500
0.999 0.999 0.000
0.618 0.843 0.767
0.610 0.384 0.233
0.142 0.867 0.265
0.157 0.382 0.235
0.134 0.860 0.733
0.617 0.392 0.765
0.132 0.407 0.735
0.593 0.868 0.267


(4)
MgFe8O14F2 | Materials Project | GGA+U | optimized geometry; crystal system = triclinic; electronic total energy = -6.143 eV/atom
1.0
-3.667 -3.146 -0.434
0.545 -1.251 4.595
-7.467 8.650 3.197
Mg Fe O F
1 8 14 2
direct
0.952 0.466 0.011
0.349 0.946 0.008
0.956 0.989 0.250
0.996 0.014 0.499
0.984 0.985 0.745
0.476 0.474 0.143
0.477 0.487 0.624
0.470 0.515 0.856
0.453 0.483 0.376
0.159 0.755 0.124
0.167 0.805 0.620
0.165 0.792 0.876
0.154 0.801 0.380
0.315 0.323 0.992
0.268 0.276 0.252
0.292 0.305 0.503
0.296 0.295 0.745
0.644 0.706 0.990
0.655 0.687 0.256
0.667 0.696 0.745
0.764 0.206 0.126
0.783 0.182 0.381
0.799 0.185 0.622
0.664 0.686 0.503
0.805 0.235 0.874


(5)
V2ZnO4 | Materials Project | GGA+U | optimized geometry; crystal system = monoclinic; electronic total energy = -6.864 eV/atom
1.0
1.461 7.189 0.000
-1.461 7.189 0.000
0.000 6.225 7.365
V Zn O
4 2 8
direct
0.360 0.360 0.967
0.848 0.848 0.317
0.152 0.152 0.683
0.640 0.640 0.033
0.616 0.616 0.383
0.384 0.384 0.617
0.144 0.144 0.899
0.533 0.533 0.778
0.467 0.467 0.222
0.856 0.856 0.101
0.831 0.831 0.850
0.208 0.208 0.433
0.169 0.169 0.150
0.792 0.792 0.567


(6)
Li3NiPCO7 | Materials Project | GGA+U | optimized geometry; electronic total energy = -6.396 eV/atom
1.0
0.149 5.098 0.000
-8.274 -0.155 6.437
8.274 0.154 6.438
Li Ni P C O
12 4 4 4 28
direct
0.030 0.759 0.756
0.031 0.259 0.256
0.970 0.506 0.509
0.970 0.006 0.009
0.421 0.027 0.202
0.421 0.527 0.702
0.579 0.952 0.777
0.580 0.452 0.277
0.437 0.942 0.460
0.436 0.442 0.960
0.563 0.210 0.692
0.564 0.710 0.192
0.059 0.737 0.009
0.941 0.259 0.987
0.059 0.237 0.509
0.941 0.759 0.488
0.961 0.954 0.291
0.961 0.455 0.791
0.039 0.041 0.705
0.039 0.541 0.205
0.527 0.299 0.440
0.527 0.799 0.940
0.473 0.690 0.549
0.473 0.190 0.049
0.349 0.347 0.380
0.350 0.847 0.880
0.651 0.630 0.597
0.650 0.130 0.097
0.773 0.330 0.424
0.773 0.830 0.924
0.227 0.674 0.580
0.227 0.174 0.080
0.084 0.912 0.148
0.084 0.412 0.648
0.916 0.898 0.662
0.916 0.397 0.162
0.054 0.102 0.333
0.054 0.602 0.833
0.946 0.083 0.852
0.946 0.583 0.352
0.456 0.223 0.516
0.456 0.723 0.016
0.544 0.766 0.473
0.543 0.266 0.973
0.659 0.932 0.290
0.659 0.433 0.790
0.341 0.041 0.682
0.341 0.541 0.183
0.091 0.880 0.382
0.090 0.380 0.882
0.909 0.132 0.630
0.909 0.631 0.130


(7)
Pr2W3O12 | Materials Project | GGA+U | optimized geometry; crystal system = monoclinic; electronic total energy = -7.794 eV/atom
1.0
-5.173 -4.848 0.755
5.922 -2.841 -2.774
4.040 -6.127 9.214
Pr W O
4 6 24
direct
0.194 0.447 0.594
0.806 0.553 0.406
0.553 0.806 0.906
0.447 0.194 0.094
0.009 0.300 0.952
0.991 0.700 0.048
0.700 0.991 0.548
0.300 0.009 0.452
0.618 0.382 0.750
0.382 0.618 0.250
0.551 0.468 0.611
0.449 0.532 0.389
0.532 0.449 0.889
0.468 0.551 0.111
0.514 0.100 0.781
0.486 0.900 0.219
0.900 0.486 0.719
0.100 0.514 0.281
0.729 0.128 0.961
0.271 0.872 0.039
0.872 0.271 0.539
0.128 0.729 0.461
0.401 0.829 0.575
0.599 0.171 0.425
0.171 0.599 0.925
0.829 0.401 0.075
0.148 0.297 0.805
0.852 0.703 0.195
0.703 0.852 0.695
0.297 0.148 0.305
0.894 0.824 0.943
0.106 0.176 0.057
0.176 0.106 0.557
0.824 0.894 0.443


(8)
LiFeF4 | Materials Project | GGA+U | optimized geometry; crystal system = monoclinic; electronic total energy = -5.086 eV/atom
1.0
8.533 0.000 0.000
0.000 5.287 0.000
0.000 3.104 7.606
Li Fe F
4 4 16
direct
0.311 0.131 0.575
0.811 0.869 0.925
0.189 0.131 0.075
0.689 0.869 0.425
0.037 0.586 0.667
0.537 0.414 0.833
0.463 0.586 0.167
0.963 0.414 0.333
0.121 0.371 0.521
0.223 0.781 0.634
0.561 0.716 0.626
0.411 0.184 0.764
0.911 0.816 0.736
0.061 0.284 0.874
0.723 0.219 0.866
0.379 0.371 0.021
0.621 0.629 0.979
0.277 0.781 0.134
0.939 0.716 0.126
0.089 0.184 0.264
0.589 0.816 0.236
0.439 0.284 0.374
0.777 0.219 0.366
0.879 0.629 0.479


(9)
Li6MnO4 | Materials Project | GGA+U | optimized geometry; electronic total energy = -5.323 eV/atom
1.0
-7.417 -3.431 0.715
0.817 -7.747 2.571
-4.455 4.246 5.424
Li Mn O
24 4 16
direct
0.250 0.356 0.106
0.250 0.856 0.606
0.250 0.106 0.856
0.250 0.606 0.356
0.750 0.144 0.394
0.750 0.644 0.894
0.750 0.394 0.644
0.750 0.894 0.144
0.034 0.625 0.091
0.034 0.125 0.591
0.034 0.841 0.875
0.034 0.341 0.375
0.466 0.409 0.875
0.466 0.909 0.375
0.466 0.625 0.659
0.466 0.125 0.159
0.534 0.875 0.841
0.534 0.375 0.341
0.534 0.091 0.625
0.534 0.591 0.125
0.966 0.659 0.625
0.966 0.159 0.125
0.966 0.875 0.409
0.966 0.375 0.909
0.250 0.875 0.125
0.750 0.625 0.375
0.250 0.375 0.625
0.750 0.125 0.875
0.016 0.603 0.353
0.016 0.103 0.853
0.250 0.119 0.103
0.250 0.619 0.603
0.250 0.353 0.869
0.250 0.853 0.369
0.484 0.369 0.119
0.484 0.869 0.619
0.516 0.131 0.381
0.516 0.631 0.881
0.750 0.381 0.397
0.750 0.881 0.897
0.750 0.147 0.631
0.750 0.647 0.131
0.984 0.897 0.147
0.984 0.397 0.647


(10)
NdMn5Cu2O12 | Materials Project | GGA+U | optimized geometry; crystal system = orthorhombic; electronic total energy = -7.054 eV/atom
1.0
-3.699 3.759 3.800
3.699 -3.759 3.800
3.699 3.759 -3.800
Nd Mn Cu O
1 5 2 12
direct
0.000 0.000 0.000
0.000 0.500 0.000
0.500 0.500 0.500
0.000 0.000 0.500
0.500 0.000 0.000
0.500 0.500 0.000
0.500 0.000 0.500
0.000 0.500 0.500
0.312 0.824 0.136
0.312 0.176 0.488
0.688 0.824 0.512
0.688 0.176 0.864
0.169 0.864 0.695
0.831 0.527 0.695
0.169 0.473 0.305
0.831 0.136 0.305
0.474 0.302 0.172
0.130 0.302 0.828
0.870 0.698 0.172
0.526 0.698 0.828


(11)
SrV4O10 | Materials Project | GGA+U | optimized geometry; crystal system = triclinic; electronic total energy = -7.500 eV/atom
1.0
-5.875 -1.912 -0.268
-5.884 1.873 -0.262
-0.111 0.018 -9.146
Sr V O
1 4 10
direct
0.586 0.586 0.021
0.231 0.232 0.330
0.769 0.766 0.668
0.931 0.935 0.342
0.069 0.067 0.659
0.089 0.091 0.410
0.911 0.912 0.593
0.970 0.975 0.161
0.050 0.047 0.846
0.210 0.212 0.151
0.772 0.767 0.847
0.393 0.396 0.363
0.605 0.604 0.632
0.760 0.762 0.362
0.240 0.239 0.626


(12)
HoWBrO4 | Materials Project | GGA+U | optimized geometry; crystal system = triclinic; electronic total energy = -7.132 eV/atom
1.0
6.987 0.000 0.000
-0.546 7.279 0.000
-3.406 -2.895 10.073
Ho W Br O
4 4 4 16
direct
0.658 0.112 0.731
0.342 0.888 0.269
0.381 0.660 0.767
0.619 0.340 0.233
0.729 0.814 0.133
0.271 0.186 0.867
0.769 0.590 0.626
0.231 0.410 0.374
0.263 0.004 0.519
0.737 0.996 0.481
0.191 0.720 0.982
0.809 0.280 0.018
0.658 0.730 0.955
0.342 0.270 0.045
0.003 0.877 0.205
0.997 0.123 0.795
0.636 0.636 0.201
0.364 0.364 0.799
0.401 0.984 0.817
0.599 0.016 0.183
0.040 0.653 0.669
0.960 0.347 0.331
0.724 0.403 0.700
0.276 0.597 0.300
0.664 0.502 0.446
0.336 0.498 0.554
0.655 0.790 0.703
0.345 0.210 0.297


Across the entries above, theoretical density takes the values 4.8, 4.2, 4.7, 4.4, 5.0, 2.9, 6.5, 2.7, 2.5, 5.8, 3.7, 6.4 g/cm3, respectively.